DFT (GGA-PBE) results for a geometry-optimized PRh2 structure.

The structure in CIF format:
```
data_PRh2
_chemical_formula_sum 'P4 Rh8'
_cell_length_a 5.564
_cell_length_b 5.564
_cell_length_c 5.564
_cell_angle_alpha 90.00
_cell_angle_beta 90.00
_cell_angle_gamma 90.00
_symmetry_space_group_name_H-M 'F m -3 m'
_symmetry_Int_Tables_number 225
_symmetry_space_group_name_Hall '-F 4 2 3'
loop_
_atom_site_label
_atom_site_fract_x
_atom_site_fract_y
_atom_site_fract_z
P1 0.000 0.000 0.000
Rh1 0.250 0.250 0.250
```

Output
Formation energy, meV per atom: -744
Electronic total energy, eV/atom: -7.458